! Ba2CaI6 PBE optimized geometry; values from VASP
&SYSTEM
  ibrav = 0, nat = 9, ntyp = 3
/
ATOMIC_SPECIES
Ba 137.33 Ba.upf
Ca 40.08 Ca.upf
I 126.90 I.upf
CELL_PARAMETERS angstrom
0.324 7.870 -3.217
-7.435 -3.242 2.572
1.126 2.650 6.596
ATOMIC_POSITIONS angstrom
Ba -4.285 1.787 3.940
Ba -1.699 5.491 2.010
Ca 0.000 0.000 0.000
I -4.197 -0.177 6.803
I -2.111 -0.415 2.365
I -1.408 3.508 4.846
I -4.576 3.770 1.104
I 0.367 3.134 0.516
I 1.083 7.387 2.863
! Total magnetization = 0.0 μB per cell
! DFT formation energy = -1936 meV/atom
! Calculated total energy = -3.35 eV/atom

***

! BaCaI4 PBE optimized geometry; values from VASP
&SYSTEM
  ibrav = 0, nat = 24, ntyp = 3
/
ATOMIC_SPECIES
Ba 137.33 Ba.upf
Ca 40.08 Ca.upf
I 126.90 I.upf
CELL_PARAMETERS angstrom
-2.641 -0.365 -9.561
4.379 -10.146 -0.822
-9.744 -4.438 2.861
ATOMIC_POSITIONS angstrom
Ba -1.997 -3.738 -1.850
Ba -4.695 -11.032 -0.889
Ba -3.311 -3.917 -6.633
Ba -6.010 -11.211 -5.672
Ca -6.248 -5.873 1.861
Ca -0.461 -8.903 -4.596
Ca -7.545 -6.045 -2.926
Ca -1.759 -9.075 -9.384
I -3.197 -13.171 1.356
I -5.081 -8.805 1.710
I -1.575 -9.623 -1.656
I -5.084 -5.137 -1.019
I 2.000 -7.988 -2.780
I -8.698 -6.777 -0.032
I -1.820 -6.059 -4.388
I -3.704 -1.693 -4.034
I -4.302 -13.255 -3.488
I -6.187 -8.889 -3.134
I 0.691 -8.171 -7.490
I -10.006 -6.960 -4.742
I -2.922 -9.811 -6.503
I -6.431 -5.326 -5.867
I -2.925 -6.144 -9.232
I -4.810 -1.778 -8.878
! Total magnetization = 0.0 μB per cell
! DFT formation energy = -1921 meV/atom
! Polymorph energy (0 for the lowest one) = 24 meV/atom
! Calculated total energy = -3.34 eV/atom

***

! BaCaI4 PBE optimized geometry; values from VASP
&SYSTEM
  ibrav = 0, nat = 48, ntyp = 3
/
ATOMIC_SPECIES
Ba 137.33 Ba.upf
Ca 40.08 Ca.upf
I 126.90 I.upf
CELL_PARAMETERS angstrom
-1.426 -7.813 7.419
-3.921 -6.573 -7.676
13.866 -11.947 -9.917
ATOMIC_POSITIONS angstrom
Ba -0.236 -10.995 3.847
Ba -1.715 -11.739 -1.438
Ba 1.189 -12.830 -5.773
Ba 3.424 -7.947 -4.418
Ba 5.095 -18.387 -5.757
Ba 7.330 -13.504 -4.402
Ba 10.234 -14.595 -8.736
Ba 8.755 -15.339 -14.022
Ca -0.579 -6.333 0.414
Ca -2.424 -7.807 -6.041
Ca 1.589 -17.182 -2.634
Ca 4.249 -11.245 -0.417
Ca 4.270 -15.089 -9.758
Ca 6.930 -9.152 -7.541
Ca 10.943 -18.526 -4.134
Ca 9.098 -20.000 -10.588
I -3.062 -9.014 -3.219
I -0.082 -3.340 0.038
I -2.056 -8.997 0.937
I -3.893 -14.575 -1.838
I -2.350 -12.962 1.813
I 1.794 -6.693 2.325
I 0.940 -6.604 -2.308
I 0.258 -9.370 -5.716
I 1.306 -11.110 0.614
I 0.559 -14.233 -2.455
I 0.314 -10.809 -10.255
I 3.224 -11.299 -3.325
I 5.064 -8.061 -1.217
I 1.742 -16.619 -5.635
I 3.845 -10.250 -7.210
I 4.131 -14.175 0.689
I 4.388 -12.158 -10.864
I 4.674 -16.083 -2.965
I 6.777 -9.715 -4.540
I 3.455 -18.272 -8.958
I 5.295 -15.034 -6.850
I 8.205 -15.525 0.081
I 7.960 -12.101 -7.720
I 7.213 -15.224 -10.789
I 8.261 -16.964 -4.458
I 7.579 -19.730 -7.867
I 6.725 -19.641 -12.500
I 10.869 -13.371 -11.988
I 12.412 -11.759 -8.337
I 10.575 -17.337 -11.112
I 8.602 -22.993 -10.213
I 11.581 -17.320 -6.956
! Total magnetization = 0.0 μB per cell
! DFT formation energy = -1891 meV/atom
! Polymorph energy (0 for the lowest one) = 54 meV/atom
! Calculated total energy = -3.31 eV/atom

***

! BaCaNbInO6 PBE optimized geometry; values from VASP
&SYSTEM
  ibrav = 0, nat = 10, ntyp = 5
/
ATOMIC_SPECIES
Ba 137.33 Ba.upf
Ca 40.08 Ca.upf
Nb 92.91 Nb.upf
In 114.82 In.upf
O 16.00 O.upf
CELL_PARAMETERS angstrom
1.213 3.543 -4.535
-2.118 -1.236 -5.346
-4.236 3.349 -2.331
ATOMIC_POSITIONS angstrom
Ba -3.856 4.242 -9.159
Ca -1.285 1.414 -3.053
Nb -2.571 2.828 -6.106
In 0.000 0.000 0.000
O -0.746 3.173 -5.349
O -4.395 2.483 -6.863
O -2.788 4.787 -6.472
O -2.353 0.869 -5.739
O -1.768 2.577 -7.926
O -3.374 3.079 -4.286
! Total magnetization = 0.0 μB per cell
! DFT formation energy = -2877 meV/atom
! Calculated total energy = -7.11 eV/atom

***

! Ba3CaIr2O9 PBE optimized geometry; values from VASP
&SYSTEM
  ibrav = 0, nat = 30, ntyp = 4
/
ATOMIC_SPECIES
Ba 137.33 Ba.upf
Ca 40.08 Ca.upf
Ir 192.22 Ir.upf
O 16.00 O.upf
CELL_PARAMETERS angstrom
2.226 -4.163 3.651
3.666 3.180 -3.474
1.691 10.036 10.685
ATOMIC_POSITIONS angstrom
Ba 3.429 2.430 5.697
Ba 2.828 -0.846 2.200
Ba 4.087 5.678 -0.792
Ba 3.496 3.375 11.654
Ba 4.755 9.898 8.663
Ba 4.154 6.623 5.165
Ca 0.000 0.000 0.000
Ca 0.846 5.018 5.343
Ir 3.774 4.954 8.361
Ir 4.175 6.674 10.215
Ir 3.809 4.099 2.501
Ir 3.408 2.379 0.648
O 5.819 7.695 10.447
O 2.352 5.062 7.033
O 1.764 1.358 0.416
O 5.231 3.990 3.830
O 3.111 8.275 10.507
O 5.058 4.473 6.982
O 4.472 0.778 0.356
O 2.525 4.579 3.881
O 4.125 6.276 12.120
O 3.377 3.073 8.668
O 3.458 2.777 -1.257
O 4.206 5.980 2.195
O 3.385 2.099 2.680
O 4.198 6.953 8.182
O 2.359 4.097 1.055
O 5.079 3.510 1.000
O 5.224 4.956 9.808
O 2.504 5.543 9.863
! DFT formation energy = -2380 meV/atom
! Polymorph energy (0 for the lowest one) = 0 meV/atom
! Calculated total energy = -6.63 eV/atom

***

! Ba3CaIr2O9 PBE optimized geometry; values from VASP
&SYSTEM
  ibrav = 0, nat = 15, ntyp = 4
/
ATOMIC_SPECIES
Ba 137.33 Ba.upf
Ca 40.08 Ca.upf
Ir 192.22 Ir.upf
O 16.00 O.upf
CELL_PARAMETERS angstrom
-5.611 0.732 -1.663
1.250 -1.588 5.541
0.341 6.984 1.925
ATOMIC_POSITIONS angstrom
Ba -0.810 3.834 4.421
Ba 0.000 0.000 0.000
Ba -3.210 2.293 1.382
Ca 0.170 3.492 0.962
Ir -0.983 0.293 3.445
Ir -3.037 5.834 2.358
O -4.153 5.107 0.942
O -3.572 4.369 3.517
O -1.545 4.767 1.715
O -2.475 1.361 4.087
O -0.448 1.758 2.285
O 0.133 1.020 4.860
O -2.805 0.366 -0.832
O 0.625 -0.794 2.770
O -2.180 -0.428 1.939
! Total magnetization = 4.1 μB per cell
! DFT formation energy = -2360 meV/atom
! Polymorph energy (0 for the lowest one) = 20 meV/atom
! Calculated total energy = -6.61 eV/atom

***

! Ba2CaIrO6 PBE optimized geometry; values from VASP
&SYSTEM
  ibrav = 0, nat = 10, ntyp = 4
/
ATOMIC_SPECIES
Ba 137.33 Ba.upf
Ca 40.08 Ca.upf
Ir 192.22 Ir.upf
O 16.00 O.upf
CELL_PARAMETERS angstrom
3.145 -3.394 3.798
5.508 -1.825 -1.474
4.764 2.285 2.815
ATOMIC_POSITIONS angstrom
Ba 10.063 -2.201 3.855
Ba 3.354 -0.734 1.285
Ca 0.000 0.000 0.000
Ir 6.709 -1.467 2.570
O 6.155 -1.632 0.703
O 8.354 -0.578 2.003
O 5.064 -2.357 3.137
O 7.607 -3.199 2.457
O 7.263 -1.302 4.436
O 5.811 0.265 2.683
! Total magnetization = 3.0 μB per cell
! DFT formation energy = -2537 meV/atom
! Calculated total energy = -6.56 eV/atom

***

! Ba6Ca2Ir3RuO18 PBE optimized geometry; values from VASP
&SYSTEM
  ibrav = 0, nat = 30, ntyp = 5
/
ATOMIC_SPECIES
Ba 137.33 Ba.upf
Ca 40.08 Ca.upf
Ir 192.22 Ir.upf
Ru 101.07 Ru.upf
O 16.00 O.upf
CELL_PARAMETERS angstrom
-5.448 1.322 -2.076
2.022 -5.619 -0.276
-5.697 -2.700 13.228
ATOMIC_POSITIONS angstrom
Ba -3.361 -1.593 7.804
Ba -5.290 -2.097 3.937
Ba -3.475 -1.237 -0.275
Ba -5.191 -2.460 12.052
Ba -4.741 -5.331 9.045
Ba -1.889 -3.979 2.424
Ca -3.318 -4.656 5.742
Ca -0.471 -3.307 -0.869
Ir -6.735 -2.782 7.293
Ir -7.726 -3.252 9.595
Ir -0.940 -0.445 2.182
Ru -1.923 -0.911 4.464
O -2.553 -2.636 5.019
O -1.466 -5.656 4.871
O -4.394 -4.946 3.754
O -6.089 -1.045 6.703
O -5.150 -3.652 6.575
O -7.678 -3.039 5.612
O -7.936 -1.921 10.992
O -6.998 -4.528 10.864
O -9.525 -3.914 9.900
O -0.725 -1.772 0.775
O 0.360 -4.788 0.627
O -2.564 -4.079 -0.488
O -7.449 -4.564 8.034
O -8.396 -1.934 8.163
O -5.846 -2.553 9.135
O -4.629 -3.416 1.365
O -5.699 -0.442 1.511
O -2.816 -1.142 2.610
! Total magnetization = 1.0 μB per cell
! DFT formation energy = -2407 meV/atom
! Calculated total energy = -6.67 eV/atom